Entry 1:
{
  "formula": "Na2Ti2Si2H2O9",
  "functional": "PBE",
  "state": "optimized geometry",
  "total_magnetization_mub_per_cell": 6.001,
  "e_above_lowest_polymorph_mev_per_atom": 0,
  "total_energy_ev_per_cell": -471.68,
  "spacegroup": "P1 (1)",
  "ef_ev_per_atom": -2.5587,
  "lattice": [[8.9259, 0.1348, -0.7446], [-2.5249, 8.4410, -0.9852], [0.8594, -0.1458, 12.2946]],
  "species": ["Na", "Na", "Na", "Na", "Na", "Na", "Na", "Na", "Ti", "Ti", "Ti", "Ti", "Ti", "Ti", "Ti", "Ti", "Si", "Si", "Si", "Si", "Si", "Si", "Si", "Si", "H", "H", "H", "H", "H", "H", "H", "H", "O", "O", "O", "O", "O", "O", "O", "O", "O", "O", "O", "O", "O", "O", "O", "O", "O", "O", "O", "O", "O", "O", "O", "O", "O", "O", "O", "O", "O", "O", "O", "O", "O", "O", "O", "O"],
  "fractional_positions": [[0.7322, 0.5190, 0.9994], [0.7408, 0.8787, 0.5890], [0.7972, 0.3724, 0.2845], [0.2398, 0.0078, 0.0031], [0.1715, 0.5201, 0.3098], [0.2436, 0.3768, 0.5955], [0.6741, 0.0150, 0.3104], [0.2965, 0.8747, 0.2897], [0.9777, 0.6259, 0.5373], [0.4949, 0.7702, 0.0599], [0.9980, 0.2704, 0.0598], [0.0734, 0.1450, 0.3030], [0.5700, 0.6402, 0.3017], [0.4881, 0.1152, 0.5383], [0.4060, 0.2454, 0.2953], [0.9026, 0.7478, 0.2929], [0.8877, 0.8906, 0.0656], [0.5943, 0.1639, 0.0756], [0.3832, 0.7227, 0.5210], [0.8899, 0.2291, 0.5206], [0.3895, 0.3891, 0.0656], [0.5872, 0.4958, 0.5313], [0.0931, 0.6647, 0.0737], [0.0930, 0.0007, 0.5300], [0.2384, 0.9405, 0.7726], [0.5178, 0.1366, 0.7427], [0.7559, 0.4163, 0.7773], [0.6119, 0.8405, 0.8313], [0.0162, 0.6544, 0.7461], [0.9800, 0.2101, 0.8423], [0.2904, 0.4888, 0.8260], [0.5361, 0.8060, 0.7985], [0.4696, 0.6054, 0.5762], [0.4960, 0.2693, 0.0182], [0.5168, 0.7797, 0.2059], [0.3993, 0.6905, 0.3866], [0.0079, 0.1411, 0.5758], [0.2127, 0.2954, 0.0263], [0.2020, 0.6659, 0.5460], [0.0140, 0.4802, 0.0248], [0.9643, 0.4153, 0.5666], [0.4135, 0.4272, 0.2032], [0.2461, 0.0991, 0.2156], [0.0680, 0.9611, 0.3927], [0.5127, 0.9811, 0.0254], [0.0006, 0.8477, 0.5836], [0.9112, 0.9297, 0.2031], [0.4616, 0.1083, 0.3921], [0.0255, 0.2845, 0.2065], [0.2736, 0.0749, 0.5701], [0.4803, 0.9028, 0.5686], [0.2713, 0.7423, 0.0474], [0.9648, 0.0488, 0.0123], [0.7101, 0.7985, 0.0270], [0.9897, 0.7664, 0.0175], [0.5179, 0.3354, 0.5849], [0.7615, 0.5958, 0.5722], [0.2323, 0.2895, 0.3845], [0.9522, 0.6107, 0.3904], [0.4633, 0.5485, 0.0122], [0.0748, 0.6947, 0.2079], [0.5729, 0.1901, 0.2095], [0.5669, 0.4581, 0.3934], [0.7142, 0.1456, 0.5491], [0.7443, 0.5998, 0.2129], [0.7749, 0.2406, 0.0559], [0.9006, 0.1957, 0.3859], [0.7285, 0.7896, 0.3808]]
}

=====

Entry 2:
{
  "formula": "PbSeO3",
  "functional": "PBE",
  "state": "optimized geometry",
  "total_energy_ev_per_cell": -218.04,
  "spacegroup": "P2_1/c (14)",
  "ef_ev_per_atom": -1.4526,
  "lattice": [[8.1687, 0.0000, 0.0000], [0.0000, 8.9213, 0.0000], [0.0000, 2.0934, 9.0655]],
  "species": ["Pb", "Pb", "Pb", "Pb", "Pb", "Pb", "Pb", "Pb", "Se", "Se", "Se", "Se", "Se", "Se", "Se", "Se", "O", "O", "O", "O", "O", "O", "O", "O", "O", "O", "O", "O", "O", "O", "O", "O", "O", "O", "O", "O", "O", "O", "O", "O"],
  "fractional_positions": [[0.8243, 0.2721, 0.6041], [0.8348, 0.8248, 0.0059], [0.3348, 0.6752, 0.9941], [0.1652, 0.1752, 0.9941], [0.3243, 0.2279, 0.3959], [0.6757, 0.7721, 0.6041], [0.6652, 0.3248, 0.0059], [0.1757, 0.7279, 0.3959], [0.8995, 0.0496, 0.3200], [0.5056, 0.0523, 0.7959], [0.9944, 0.5523, 0.7959], [0.0056, 0.4477, 0.2041], [0.1005, 0.9504, 0.6800], [0.6005, 0.5496, 0.3200], [0.4944, 0.9477, 0.2041], [0.3995, 0.4504, 0.6800], [0.3514, 0.6412, 0.6610], [0.1774, 0.3746, 0.1321], [0.5504, 0.0991, 0.6118], [0.8889, 0.9614, 0.6638], [0.9496, 0.5991, 0.6118], [0.9487, 0.3558, 0.8438], [0.1111, 0.0386, 0.3362], [0.3791, 0.3763, 0.8699], [0.0504, 0.4009, 0.3882], [0.8791, 0.1237, 0.1301], [0.3889, 0.5386, 0.3362], [0.0513, 0.6442, 0.1562], [0.1486, 0.1412, 0.6610], [0.6486, 0.3588, 0.3390], [0.4487, 0.1442, 0.1562], [0.6111, 0.4614, 0.6638], [0.5513, 0.8558, 0.8438], [0.1209, 0.8763, 0.8699], [0.6774, 0.1254, 0.8679], [0.8226, 0.6254, 0.8679], [0.3226, 0.8746, 0.1321], [0.4496, 0.9009, 0.3882], [0.8514, 0.8588, 0.3390], [0.6209, 0.6237, 0.1301]]
}